No. 1
DFT (PBE-GGA) results for an optimized crystal structure of Na3Cl.

Lattice parameters (Å, degrees): 3.566 3.566 9.352 90.00 90.00 90.00
Positions (direct):
Na (0.000, 0.000, 0.000)
Na (0.500, 0.500, 0.318)
Na (0.500, 0.500, 0.682)
Cl (0.000, 0.000, 0.500)

Symmetry: P4/mmm
Corrected total energy (MP2020 scheme), eV/cell: -9.491
DFT total energy, eV for the cell shown: -8.88



No. 2
DFT (PBE-GGA) results for an optimized crystal structure of NaCl3.

Lattice parameters (Å, degrees): 8.420 6.194 7.840 90.00 90.00 90.00
Positions (direct):
Na (0.163, 0.250, 0.023)
Na (0.337, 0.750, 0.523)
Na (0.663, 0.250, 0.477)
Na (0.837, 0.750, 0.977)
Cl (0.075, 0.750, 0.279)
Cl (0.123, 0.250, 0.539)
Cl (0.156, 0.750, 0.838)
Cl (0.344, 0.250, 0.338)
Cl (0.377, 0.750, 0.039)
Cl (0.425, 0.250, 0.779)
Cl (0.575, 0.750, 0.221)
Cl (0.623, 0.250, 0.961)
Cl (0.656, 0.750, 0.662)
Cl (0.844, 0.250, 0.162)
Cl (0.877, 0.750, 0.461)
Cl (0.925, 0.250, 0.721)

Symmetry: Pnma
Corrected total energy (MP2020 scheme), eV/cell: -48.139
DFT total energy, eV for the cell shown: -40.77



No. 3
DFT (PBE-GGA) results for an optimized crystal structure of Na3Cl2.

Lattice parameters (Å, degrees): 8.091 8.091 3.705 90.00 90.00 90.00
Positions (direct):
Na (0.000, 0.000, 0.000)
Na (0.115, 0.674, 0.500)
Na (0.326, 0.115, 0.500)
Na (0.500, 0.500, 0.500)
Na (0.674, 0.885, 0.500)
Na (0.885, 0.326, 0.500)
Cl (0.203, 0.405, 0.000)
Cl (0.405, 0.797, 0.000)
Cl (0.595, 0.203, 0.000)
Cl (0.797, 0.595, 0.000)

Symmetry: P4/m
Corrected total energy (MP2020 scheme), eV/cell: -29.965
Size of the total moment, μB/f.u.: 0.00
DFT total energy, eV for the cell shown: -27.51



Number 1: ΔE_f -3.675 eV per formula unit. Number 2: ΔE_f -5.167 eV per formula unit. Number 3: ΔE_f -7.318 eV per formula unit.